Entry 1:
A plane-wave DFT calculation with PBE+U was carried out for a geometry-optimized NaLi2MnPCO7 structure.

Output
V = 11.501 Å³ per atom
spin magnetization = 5.00 μB/f.u.
ΔE_f = -2393 meV per atom
energy = -176.43 eV per cell

Cell lengths 5.1294, 8.7092, 6.7010 Å; angles 88.29, 90.62, 88.04 degrees
Closest atoms and distances in Å follow each position.
Positions (direct):
O 0.2775 0.1074 0.2562  1 C 1.31
O 0.0381 0.8933 0.2517  1 C 1.30
O 0.4165 0.4197 0.2438  1 P 1.57
Na 0.7526 0.7506 0.4994  6 O 2.38-2.55
O 0.6406 0.8961 0.7828  1 C 1.30
Li 0.7770 0.7163 0.9583  4 O 2.03-2.10
Mn 0.7833 0.3497 0.7478  5 O 2.14-2.21
O 0.8356 0.3344 0.4329  1 P 1.55
O 0.1806 0.6841 0.9189  1 P 1.57
O 0.5445 0.1490 0.7477  1 C 1.31
Li 0.2255 0.2811 0.0335  4 O 2.08-2.15
O 0.2114 0.6698 0.5532  1 P 1.54
P 0.7230 0.4182 0.2411  4 O 1.55-1.57
O 0.9652 0.0661 0.7621  1 C 1.30
O 0.4717 0.8704 0.2497  1 C 1.30
O 0.8262 0.3214 0.0657  1 P 1.55
Li 0.2293 0.2748 0.4682  3 O 2.08-2.19
C 0.7192 0.0365 0.7643  3 O 1.30-1.31
Na 0.7462 0.0883 0.2408  4 O 2.22-2.41
C 0.2617 0.9581 0.2537  3 O 1.30-1.31
O 0.1944 0.4156 0.7598  1 P 1.56
P 0.2941 0.5827 0.7490  4 O 1.54-1.57
O 0.5979 0.5721 0.7681  1 P 1.56
Mn 0.2295 0.6510 0.2386  6 O 2.12-2.32
O 0.8099 0.5868 0.2230  1 P 1.55
Li 0.2486 0.9067 0.7895  3 O 1.98-2.14


Entry 2:
A plane-wave DFT calculation with PBE+U was carried out for a geometry-optimized NaLi2MnPCO7 structure.

Output
V = 11.257 Å³ per atom
spin magnetization = 5.00 μB/f.u.
ΔE_f = -2384 meV per atom
energy = -352.36 eV per cell

Cell lengths 6.6646, 8.7212, 10.0730 Å; angles 90.82, 90.24, 90.77 degrees
Closest atoms and distances in Å follow each position.
Positions (direct):
C 0.7591 0.9527 0.3671  3 O 1.29-1.31
O 0.7521 0.8605 0.7649  1 C 1.31
P 0.7500 0.4056 0.6521  4 O 1.55-1.57
Li 0.9893 0.2645 0.3812  4 O 2.07-2.27
P 0.2499 0.5889 0.8482  4 O 1.55-1.57
Li 0.0112 0.7346 0.1189  4 O 2.08-2.27
O 0.2344 0.5829 0.1977  1 P 1.57
O 0.4386 0.6795 0.8968  1 P 1.55
O 0.5666 0.3152 0.1010  1 P 1.56
O 0.7539 0.8562 0.2666  1 C 1.31
Na 0.2453 0.9169 0.3797  5 O 2.22-2.46
Li 0.4880 0.7362 0.6192  4 O 2.17-2.28
C 0.2406 0.0547 0.1321  3 O 1.30
Mn 0.2498 0.3589 0.1090  6 O 2.14-2.32
Li 0.5114 0.2631 0.8809  4 O 2.16-2.28
O 0.2498 0.1189 0.0171  1 C 1.30
Mn 0.7496 0.6398 0.3914  5 O 2.12-2.28
Li 0.7529 0.0826 0.6239  2 O 2.08-2.24
O 0.7501 0.9012 0.4880  1 C 1.30
P 0.2412 0.5889 0.3531  4 O 1.55-1.57
O 0.5627 0.3133 0.6046  1 P 1.55
Mn 0.7527 0.6410 0.8858  5 O 2.12-2.28
O 0.2460 0.5874 0.6926  1 P 1.57
Na 0.5004 0.2542 0.3769  6 O 2.30-2.52
O 0.9307 0.3123 0.5999  1 P 1.55
O 0.2493 0.4196 0.8954  1 P 1.56
O 0.9339 0.3058 0.0958  1 P 1.55
O 0.7490 0.1023 0.8453  1 C 1.30
O 0.2450 0.1406 0.2385  1 C 1.30
O 0.7655 0.4168 0.3024  1 P 1.56
Mn 0.2472 0.3574 0.6143  6 O 2.14-2.32
O 0.2482 0.1372 0.7402  1 C 1.30
Na 0.5010 0.7458 0.1235  6 O 2.31-2.57
Li 0.9873 0.2634 0.8819  4 O 2.13-2.21
Na 0.2481 0.9169 0.8787  5 O 2.23-2.45
O 0.7660 0.5723 0.0949  1 P 1.56
O 0.7509 0.5755 0.6031  1 P 1.57
O 0.7542 0.4124 0.8076  1 P 1.57
O 0.2338 0.4224 0.4035  1 P 1.55
O 0.0672 0.6794 0.9015  1 P 1.55
O 0.4340 0.6776 0.4003  1 P 1.56
O 0.2471 0.1170 0.5188  1 C 1.30
O 0.0629 0.6851 0.4058  1 P 1.55
P 0.7581 0.4053 0.1473  4 O 1.55-1.56
O 0.2284 0.9059 0.1412  1 C 1.30
Li 0.0132 0.7356 0.6180  4 O 2.14-2.23
C 0.2488 0.0516 0.6336  3 O 1.30-1.31
O 0.2509 0.9020 0.6413  1 C 1.31
Li 0.7584 0.0853 0.1207  3 O 2.07-2.26
O 0.7523 0.9032 0.9867  1 C 1.31
O 0.7719 0.0979 0.3448  1 C 1.29
C 0.7510 0.9559 0.8660  3 O 1.30-1.31


Entry 3:
A plane-wave DFT calculation with PBE+U was carried out for a geometry-optimized NaLi2MnPCO7 structure.

Output
V = 11.264 Å³ per atom
spin magnetization = 2.50 μB/f.u.
ΔE_f = -2389 meV per atom
energy = -352.66 eV per cell

Cell lengths 6.7020, 8.6857, 10.0655 Å; angles 91.36, 90.13, 90.52 degrees
Closest atoms and distances in Å follow each position.
Positions (direct):
O 0.7494 0.8950 0.1588  1 C 1.30
O 0.7343 0.4294 0.4029  1 P 1.56
O 0.9302 0.6877 0.4050  1 P 1.55
O 0.2511 0.9022 0.4902  1 C 1.30
C 0.2583 0.9551 0.3702  3 O 1.29-1.30
O 0.7337 0.4273 0.9056  1 P 1.55
Li 0.4810 0.2686 0.8818  4 O 2.06-2.18
Li 0.7488 0.9129 0.8753  3 O 2.02-2.25
O 0.7653 0.5819 0.6994  1 P 1.56
O 0.2699 0.4199 0.8026  1 P 1.57
O 0.0627 0.3034 0.6122  1 P 1.56
Na 0.9988 0.2517 0.8735  6 O 2.32-2.60
O 0.7789 0.9013 0.6641  1 C 1.30
Li 0.9847 0.7363 0.6163  4 O 2.05-2.23
O 0.2527 0.8890 0.9777  1 C 1.30
O 0.2448 0.8598 0.2683  1 C 1.30
Li 0.2530 0.0813 0.6238  2 O 2.03-2.23
O 0.4320 0.3220 0.0896  1 P 1.55
Mn 0.7448 0.3573 0.6117  5 O 2.12-2.22
O 0.2704 0.4206 0.3036  1 P 1.56
O 0.7521 0.5857 0.1955  1 P 1.57
O 0.5683 0.6956 0.8957  1 P 1.56
O 0.5639 0.6965 0.3945  1 P 1.55
O 0.7440 0.1413 0.2311  1 C 1.30
C 0.2568 0.9482 0.8605  3 O 1.30
Li 0.9785 0.7327 0.1149  4 O 2.10-2.26
Na 0.2591 0.0839 0.1222  4 O 2.21-2.47
O 0.2533 0.5842 0.1009  1 P 1.56
O 0.4294 0.3138 0.5908  1 P 1.56
Na 0.9993 0.2521 0.3767  5 O 2.30-2.45
C 0.7561 0.0452 0.6350  3 O 1.30
O 0.2418 0.8566 0.7564  1 C 1.30
C 0.7485 0.0412 0.1329  3 O 1.30
Mn 0.7462 0.3577 0.1129  5 O 2.13-2.25
O 0.7504 0.0886 0.5124  1 C 1.30
O 0.2749 0.0953 0.8445  1 C 1.30
P 0.7499 0.5941 0.8543  4 O 1.55-1.56
Mn 0.2485 0.6444 0.8898  6 O 2.13-2.31
P 0.2488 0.4047 0.6478  4 O 1.55-1.57
Mn 0.2459 0.6465 0.3869  5 O 2.12-2.23
Li 0.7456 0.9144 0.3741  3 O 2.03-2.25
Li 0.4781 0.2686 0.3876  4 O 2.00-2.21
O 0.2336 0.5700 0.5933  1 P 1.55
O 0.7516 0.0880 0.0112  1 C 1.30
O 0.2774 0.1012 0.3523  1 C 1.29
O 0.9334 0.6839 0.9120  1 P 1.55
O 0.7378 0.1462 0.7319  1 C 1.30
O 0.0631 0.3233 0.1069  1 P 1.55
P 0.2545 0.4146 0.1487  4 O 1.55-1.56
P 0.7449 0.5969 0.3513  4 O 1.55-1.57
Na 0.4995 0.7487 0.6246  6 O 2.31-2.55
Li 0.5202 0.7337 0.1176  4 O 2.10-2.27


Entry 4:
A plane-wave DFT calculation with PBE+U was carried out for a geometry-optimized NaLi5Mn2P2C2O14 structure.

Output
V = 11.071 Å³ per atom
spin magnetization = 10.00 μB/f.u.
ΔE_f = -2398 meV per atom
energy = -354.29 eV per cell

Cell lengths 6.6373, 8.6425, 10.0415 Å; angles 88.18, 89.94, 89.63 degrees
Closest atoms and distances in Å follow each position.
Positions (direct):
O 0.4346 0.3157 0.8993  1 P 1.56
C 0.7508 0.0384 0.3714  3 O 1.30
P 0.7549 0.5945 0.6436  4 O 1.55-1.57
Li 0.0208 0.2669 0.6144  4 O 2.02-2.17
Mn 0.7553 0.3513 0.3833  5 O 2.12-2.23
Li 0.9763 0.7315 0.8834  4 O 2.09-2.23
O 0.7557 0.1340 0.2689  1 C 1.30
O 0.7485 0.0913 0.4909  1 C 1.30
Li 0.7633 0.9183 0.6277  2 O 2.00-2.19
P 0.2509 0.4080 0.3516  4 O 1.55-1.57
Li 0.5230 0.7336 0.8826  4 O 2.10-2.25
O 0.2470 0.9200 0.0129  1 C 1.30
Li 0.2373 0.0866 0.8726  2 O 1.98-2.01
C 0.2495 0.9622 0.1358  3 O 1.30
O 0.7695 0.4268 0.5938  1 P 1.55
O 0.2546 0.8499 0.7335  1 C 1.31
Li 0.4724 0.2684 0.1147  4 O 2.07-2.22
O 0.0673 0.3158 0.9133  1 P 1.56
Li 0.2432 0.0838 0.3704  2 O 1.99-2.06
O 0.7583 0.1387 0.7556  1 C 1.30
C 0.2408 0.9571 0.6389  3 O 1.30-1.31
Na 0.7492 0.9137 0.1235  5 O 2.19-2.44
Li 0.9721 0.7333 0.3891  4 O 2.02-2.26
C 0.7527 0.0471 0.8608  3 O 1.29-1.31
O 0.4401 0.3157 0.3974  1 P 1.55
O 0.2199 0.1001 0.6732  1 C 1.30
Mn 0.7518 0.3543 0.8887  6 O 2.13-2.33
P 0.7491 0.5847 0.1442  4 O 1.55-1.57
O 0.7507 0.5853 0.7999  1 P 1.57
Na 0.5003 0.2485 0.6240  6 O 2.31-2.54
O 0.7508 0.8974 0.8459  1 C 1.31
Mn 0.2489 0.6478 0.1133  5 O 2.12-2.21
O 0.9337 0.6976 0.5947  1 P 1.56
O 0.2445 0.4172 0.1954  1 P 1.57
P 0.2458 0.4117 0.8545  4 O 1.56
O 0.7507 0.5847 0.3003  1 P 1.57
O 0.9335 0.6753 0.0880  1 P 1.55
O 0.0715 0.3094 0.4056  1 P 1.56
O 0.2309 0.4202 0.6994  1 P 1.56
O 0.7478 0.4125 0.1031  1 P 1.56
Li 0.5286 0.7338 0.3901  3 O 2.02-2.17
O 0.2464 0.5778 0.4002  1 P 1.56
O 0.7495 0.1069 0.9770  1 C 1.29
Mn 0.2503 0.6462 0.6109  5 O 2.12-2.21
O 0.2526 0.1077 0.1654  1 C 1.30
O 0.2486 0.8579 0.2326  1 C 1.30
O 0.7491 0.8898 0.3539  1 C 1.30
O 0.2498 0.5811 0.9025  1 P 1.56
O 0.2482 0.9202 0.5150  1 C 1.30
Li 0.0294 0.2697 0.1138  4 O 2.06-2.23
O 0.5658 0.6829 0.5901  1 P 1.55
O 0.5639 0.6766 0.0888  1 P 1.55


Entry 5:
A plane-wave DFT calculation with PBE+U was carried out for a geometry-optimized NaLi2MnPCO7 structure.

Output
V = 11.242 Å³ per atom
spin magnetization = 5.00 μB/f.u.
ΔE_f = -2387 meV per atom
energy = -352.51 eV per cell

Cell lengths 6.6522, 8.7187, 10.0803 Å; angles 89.00, 89.95, 89.89 degrees
Closest atoms and distances in Å follow each position.
Positions (direct):
C 0.7509 0.9505 0.6334  3 O 1.30-1.31
Na 0.0030 0.2516 0.1244  6 O 2.32-2.57
Li 0.4822 0.7365 0.8821  4 O 2.11-2.28
O 0.7472 0.5822 0.8951  1 P 1.56
Li 0.0197 0.7347 0.8856  4 O 2.11-2.25
Mn 0.2523 0.3598 0.3917  5 O 2.12-2.24
O 0.2458 0.5865 0.8068  1 P 1.57
Mn 0.2528 0.3578 0.8843  5 O 2.12-2.25
C 0.7427 0.9458 0.1323  3 O 1.30-1.31
O 0.4335 0.6943 0.1038  1 P 1.56
O 0.0693 0.6886 0.5978  1 P 1.55
O 0.7493 0.8822 0.0171  1 C 1.30
O 0.2505 0.0898 0.4884  1 C 1.30
Na 0.7479 0.0843 0.3786  5 O 2.22-2.46
Li 0.5222 0.2669 0.6139  4 O 2.09-2.28
P 0.7499 0.4125 0.8495  4 O 1.55-1.57
O 0.7237 0.0944 0.1416  1 C 1.31
P 0.7517 0.4128 0.3555  4 O 1.54-1.57
O 0.2581 0.1477 0.2695  1 C 1.31
Li 0.2459 0.9178 0.6280  2 O 2.04-2.14
P 0.2502 0.5934 0.6512  4 O 1.55-1.57
Li 0.9795 0.2651 0.6169  4 O 2.10-2.26
Li 0.0159 0.7338 0.3844  4 O 2.06-2.21
C 0.2430 0.0460 0.3659  3 O 1.30-1.31
O 0.7483 0.8848 0.5188  1 C 1.30
Mn 0.7515 0.6420 0.1089  6 O 2.14-2.32
O 0.4373 0.6845 0.6046  1 P 1.55
O 0.7348 0.4182 0.2005  1 P 1.57
Na 0.7459 0.0842 0.8779  5 O 2.23-2.46
O 0.2528 0.1408 0.7676  1 C 1.30
O 0.5667 0.3259 0.4140  1 P 1.56
O 0.7558 0.8600 0.2384  1 C 1.30
Li 0.2509 0.9127 0.1234  3 O 2.04-2.27
O 0.9370 0.3143 0.3989  1 P 1.56
O 0.5670 0.3206 0.9044  1 P 1.55
O 0.2341 0.5819 0.3001  1 P 1.56
Mn 0.7534 0.6446 0.6159  6 O 2.13-2.31
O 0.2475 0.4234 0.6031  1 P 1.57
O 0.2510 0.8959 0.8399  1 C 1.30
P 0.2506 0.5929 0.1454  4 O 1.55-1.56
O 0.2680 0.4263 0.0939  1 P 1.56
O 0.0669 0.6819 0.0881  1 P 1.55
O 0.7514 0.1002 0.6403  1 C 1.31
O 0.7681 0.5791 0.4045  1 P 1.54
C 0.2502 0.0415 0.8658  3 O 1.30
O 0.2471 0.0884 0.9879  1 C 1.30
O 0.2216 0.9029 0.3361  1 C 1.30
O 0.7530 0.8653 0.7401  1 C 1.30
O 0.7465 0.4134 0.6939  1 P 1.57
Na 0.4996 0.7485 0.3763  6 O 2.32-2.51
O 0.9381 0.3229 0.8981  1 P 1.55
Li 0.5180 0.2680 0.1153  4 O 2.05-2.19


Entry 6:
A plane-wave DFT calculation with PBE+U was carried out for a geometry-optimized NaLiMnPCO7 structure.

Output
V = 12.547 Å³ per atom
spin magnetization = 4.00 μB/f.u.
ΔE_f = -2337 meV per atom
energy = -166.47 eV per cell

Cell lengths 5.3087, 6.3743, 8.9012 Å; angles 90.00, 91.40, 90.00 degrees
Closest atoms and distances in Å follow each position.
Positions (direct):
O 0.8199 0.2689 0.4072  1 P 1.54
O 0.5149 0.7467 0.8511  1 C 1.29
O 0.5927 0.7709 0.4530  1 P 1.58
O 0.2116 0.9592 0.3406  1 P 1.55
O 0.2144 0.5743 0.3404  1 P 1.55
C 0.7212 0.7346 0.9312  3 O 1.26-1.34
O 0.7361 0.7006 0.0708  1 C 1.26
O 0.4852 0.2466 0.1489  1 C 1.29
Na 0.7731 0.9705 0.2386  5 O 2.28-2.50
O 0.1801 0.7689 0.5928  1 P 1.54
Na 0.2269 0.4705 0.7614  5 O 2.28-2.50
P 0.7038 0.2668 0.5641  4 O 1.54-1.58
C 0.2788 0.2346 0.0689  3 O 1.26-1.34
Li 0.7678 0.4406 0.1866  3 O 1.96-2.02
Mn 0.7742 0.7687 0.6447  4 O 1.94-2.00
O 0.0702 0.2583 0.1480  1 C 1.34
O 0.4073 0.2709 0.5470  1 P 1.58
O 0.9299 0.7582 0.8520  1 C 1.34
O 0.7856 0.0743 0.6596  1 P 1.55
O 0.2640 0.2005 0.9292  1 C 1.26
Li 0.2321 0.9406 0.8134  3 O 1.96-2.02
P 0.2962 0.7669 0.4359  4 O 1.54-1.58
Mn 0.2257 0.2688 0.3553  4 O 1.94-2.00
O 0.7884 0.4591 0.6593  1 P 1.55